1.
First-principles (GGA-PBE) data for MgP2O10 after structural relaxation, as listed in Materials Project.

```
MgP2O10
1.0
4.112 -4.555 -6.148
-2.185 8.620 -1.283
8.628 1.934 -1.698
O Mg P
10 1 2
Direct
0.379 0.555 0.842 O
0.683 0.841 0.160 O
0.245 0.622 0.154 O
0.001 0.156 0.844 O
0.999 0.839 0.155 O
0.321 0.161 0.837 O
0.999 0.160 0.155 O
0.379 0.824 0.842 O
0.001 0.845 0.844 O
0.668 0.834 0.505 O
0.002 0.001 0.001 Mg
0.433 0.717 0.638 P
0.330 0.665 0.963 P
```

Total magnetization (μB/f.u.): 10.0
Calculated volume (Å³/atom): 38.502
Formation energy (eV per atom): -0.49
Theoretical density (g/cm3): 0.8



2.
First-principles (GGA-PBE) data for Li2ZrF6 after structural relaxation, as listed in Materials Project.

```
Li2ZrF6
1.0
-0.284 2.025 6.175
0.907 -5.382 3.538
4.807 0.077 1.953
F Li Zr
12 4 2
Direct
0.670 0.571 0.852 F
0.429 0.330 0.648 F
0.370 0.887 0.943 F
0.250 0.000 0.497 F
0.113 0.630 0.557 F
0.000 0.750 0.003 F
0.330 0.429 0.148 F
0.571 0.670 0.352 F
0.000 0.250 0.997 F
0.750 0.000 0.503 F
0.887 0.370 0.443 F
0.630 0.113 0.057 F
0.865 0.704 0.410 Li
0.704 0.865 0.910 Li
0.135 0.296 0.590 Li
0.296 0.135 0.090 Li
0.683 0.317 0.250 Zr
0.317 0.683 0.750 Zr
```

Total magnetization (μB/f.u.): 0.0
Calculated volume (Å³/atom): 10.781
Formation energy (eV per atom): -3.63
Theoretical density (g/cm3): 3.7



3.
First-principles (GGA-PBE) data for NaSr3Be3B3O9F4 after structural relaxation, as listed in Materials Project.

```
NaSr3Be3B3O9F4
1.0
4.177 -5.317 0.000
4.177 5.317 0.000
-2.589 0.000 6.246
Sr F O Na B Be
3 4 9 1 3 3
Direct
0.876 0.483 0.483 Sr
0.483 0.876 0.483 Sr
0.483 0.483 0.876 Sr
0.999 0.999 0.999 F
0.546 0.546 0.263 F
0.263 0.546 0.546 F
0.546 0.263 0.546 F
0.837 0.311 0.065 O
0.898 0.583 0.898 O
0.065 0.837 0.311 O
0.837 0.065 0.311 O
0.065 0.311 0.837 O
0.311 0.065 0.837 O
0.898 0.898 0.583 O
0.311 0.837 0.065 O
0.583 0.898 0.898 O
0.283 0.283 0.283 Na
0.934 0.934 0.397 B
0.397 0.934 0.934 B
0.934 0.397 0.934 B
0.794 0.069 0.069 Be
0.069 0.069 0.794 Be
0.069 0.794 0.069 Be
```

Total magnetization (μB/f.u.): 0.0
Calculated volume (Å³/atom): 12.064
Formation energy (eV per atom): -3.29
Theoretical density (g/cm3): 3.4



4.
First-principles (GGA-PBE) data for BaSrI4 after structural relaxation, as listed in Materials Project.

```
BaSrI4
1.0
10.372 0.000 0.000
0.000 10.778 0.000
0.000 0.000 10.960
I Sr Ba
16 4 4
Direct
0.461 0.550 0.228 I
0.039 0.050 0.728 I
0.461 0.050 0.772 I
0.736 0.292 0.439 I
0.961 0.950 0.272 I
0.236 0.708 0.939 I
0.539 0.950 0.228 I
0.539 0.450 0.772 I
0.736 0.792 0.561 I
0.961 0.450 0.728 I
0.236 0.208 0.061 I
0.264 0.708 0.561 I
0.764 0.792 0.939 I
0.039 0.550 0.272 I
0.764 0.292 0.061 I
0.264 0.208 0.439 I
0.500 0.250 0.236 Sr
0.000 0.750 0.736 Sr
0.500 0.750 0.764 Sr
0.000 0.250 0.264 Sr
0.250 0.303 0.750 Ba
0.750 0.697 0.250 Ba
0.750 0.197 0.750 Ba
0.250 0.803 0.250 Ba
```

Total magnetization (μB/f.u.): 0.0
Calculated volume (Å³/atom): 51.048
Formation energy (eV per atom): -1.97
Theoretical density (g/cm3): 4.0



5.
First-principles (GGA-PBE) data for La2Zr2O7 after structural relaxation, as listed in Materials Project.

```
La2Zr2O7
1.0
3.700 0.000 0.000
0.000 7.711 0.000
0.000 0.000 11.154
La Zr O
4 4 14
Direct
0.000 0.250 0.776 La
0.500 0.000 0.500 La
0.500 0.500 0.500 La
0.000 0.750 0.224 La
0.500 0.000 0.000 Zr
0.500 0.500 0.000 Zr
0.000 0.250 0.236 Zr
0.000 0.750 0.764 Zr
0.500 0.250 0.134 O
0.000 0.535 0.366 O
0.000 0.974 0.886 O
0.000 0.465 0.634 O
0.000 0.035 0.634 O
0.500 0.750 0.866 O
0.000 0.026 0.114 O
0.500 0.250 0.367 O
0.500 0.250 0.903 O
0.000 0.474 0.114 O
0.500 0.750 0.097 O
0.000 0.965 0.366 O
0.500 0.750 0.633 O
0.000 0.526 0.886 O
```

Total magnetization (μB/f.u.): 0.0
Calculated volume (Å³/atom): 14.464
Formation energy (eV per atom): -3.64
Theoretical density (g/cm3): 6.0



6.
First-principles (GGA-PBE) data for Eu3Tc after structural relaxation, as listed in Materials Project.

```
Eu3Tc
1.0
-0.408 -3.391 4.748
-2.878 3.103 4.037
-1.386 -1.136 -5.567
Eu Tc
3 1
Direct
0.750 0.250 0.500 Eu
0.250 0.750 0.500 Eu
0.500 0.500 0.000 Eu
0.000 0.000 0.000 Tc
```

Total magnetization (μB/f.u.): 20.1
Calculated volume (Å³/atom): 28.604
Formation energy (eV per atom): 0.44
Theoretical density (g/cm3): 8.0



7.
First-principles (GGA-PBE) data for SbPbS2 after structural relaxation, as listed in Materials Project.

```
SbPbS2
1.0
1.982 -5.974 0.000
1.982 5.974 0.000
0.000 0.000 4.293
Pb S Sb
1 2 1
Direct
0.118 0.882 0.500 Pb
0.359 0.641 0.500 S
0.655 0.345 0.000 S
0.868 0.132 0.000 Sb
```

Total magnetization (μB/f.u.): 0.0
Calculated volume (Å³/atom): 25.419
Formation energy (eV per atom): -0.47
Theoretical density (g/cm3): 6.4



8.
First-principles (GGA-PBE) data for YBrO after structural relaxation, as listed in Materials Project.

```
YBrO
1.0
-1.226 2.932 -2.206
-3.406 -1.774 -0.465
-3.101 4.080 7.146
Y Br O
2 2 2
Direct
0.000 0.500 0.129 Y
0.500 0.000 0.871 Y
0.500 0.000 0.321 Br
0.000 0.500 0.679 Br
0.000 0.000 0.000 O
0.500 0.500 0.000 O
```

Calculated volume (Å³/atom): 21.931
Formation energy (eV per atom): -3.14
Theoretical density (g/cm3): 4.7



9.
First-principles (GGA-PBE) data for Li2Cu3F9 after structural relaxation, as listed in Materials Project.

```
Li2Cu3F9
1.0
-4.648 -6.303 2.013
3.002 -1.633 -6.813
4.451 -1.509 3.579
F Cu Li
18 6 4
Direct
0.721 0.564 0.859 F
0.489 0.258 0.826 F
0.040 0.677 0.131 F
0.332 0.944 0.974 F
0.510 0.299 0.335 F
0.668 0.056 0.026 F
0.334 0.947 0.469 F
0.253 0.387 0.654 F
0.010 0.018 0.281 F
0.666 0.053 0.531 F
0.990 0.982 0.719 F
0.064 0.675 0.648 F
0.936 0.325 0.352 F
0.490 0.701 0.665 F
0.960 0.323 0.869 F
0.279 0.436 0.141 F
0.511 0.742 0.174 F
0.747 0.613 0.346 F
0.488 0.476 0.742 Cu
0.503 0.011 0.251 Cu
0.497 0.989 0.749 Cu
0.038 0.819 0.436 Cu
0.512 0.524 0.258 Cu
0.962 0.181 0.564 Cu
0.923 0.762 0.874 Li
0.843 0.447 0.127 Li
0.077 0.238 0.126 Li
0.157 0.553 0.873 Li
```

Total magnetization (μB/f.u.): 1.0
Calculated volume (Å³/atom): 12.118
Formation energy (eV per atom): -2.14
Theoretical density (g/cm3): 3.7



10.
First-principles (GGA-PBE) data for ZnCrCu3Se4 after structural relaxation, as listed in Materials Project.

```
ZnCrCu3Se4
1.0
5.707 0.000 0.000
0.000 5.707 0.000
0.000 0.000 5.707
Cu Zn Se Cr
3 1 4 1
Direct
0.000 0.500 0.000 Cu
0.500 0.000 0.000 Cu
0.000 0.000 0.500 Cu
0.500 0.500 0.500 Zn
0.753 0.753 0.247 Se
0.247 0.247 0.247 Se
0.247 0.753 0.753 Se
0.753 0.247 0.753 Se
0.000 0.000 0.000 Cr
```

Total magnetization (μB/f.u.): 3.0
Calculated volume (Å³/atom): 20.650
Formation energy (eV per atom): -0.45
Theoretical density (g/cm3): 5.6



11.
First-principles (GGA-PBE) data for CuPN2 after structural relaxation, as listed in Materials Project.

```
CuPN2
1.0
2.346 -1.379 4.204
-0.623 4.078 2.839
-3.583 -2.549 -2.396
Cu N P
2 4 2
Direct
0.500 0.500 0.000 Cu
0.250 0.750 0.500 Cu
0.041 0.125 0.416 N
0.375 0.959 0.084 N
0.875 0.291 0.916 N
0.709 0.625 0.584 N
0.000 0.000 0.000 P
0.750 0.250 0.500 P
```

Calculated volume (Å³/atom): 9.779
Formation energy (eV per atom): -0.31
Theoretical density (g/cm3): 5.2



12.
First-principles (GGA-PBE) data for Na6Nb3AlSi6O24 after structural relaxation, as listed in Materials Project.

```
Na6Nb3AlSi6O24
1.0
-5.689 -6.559 2.425
6.920 2.170 5.359
-12.779 14.941 10.419
Si Na O Nb Al
18 18 72 9 3
Direct
0.665 0.051 0.087 Si
0.716 0.709 0.254 Si
0.630 0.957 0.417 Si
0.665 0.616 0.588 Si
0.947 0.615 0.087 Si
0.993 0.283 0.253 Si
0.328 0.370 0.415 Si
0.388 0.337 0.088 Si
0.710 0.006 0.748 Si
0.333 0.958 0.918 Si
0.043 0.673 0.416 Si
0.382 0.050 0.587 Si
0.290 0.007 0.253 Si
0.296 0.290 0.749 Si
0.994 0.704 0.749 Si
0.042 0.375 0.917 Si
0.626 0.667 0.916 Si
0.953 0.337 0.588 Si
0.989 0.624 0.244 Na
0.989 0.364 0.746 Na
0.667 0.333 0.326 Na
0.990 0.990 0.997 Na
0.635 0.012 0.245 Na
0.031 0.336 0.084 Na
0.710 0.677 0.412 Na
0.008 0.001 0.498 Na
0.323 0.657 0.665 Na
0.635 0.625 0.745 Na
0.324 0.034 0.411 Na
0.377 0.010 0.746 Na
0.667 0.332 0.833 Na
0.376 0.364 0.244 Na
0.344 0.668 0.164 Na
0.666 0.967 0.587 Na
0.303 0.972 0.084 Na
0.965 0.289 0.411 Na
0.689 0.528 0.525 O
0.132 0.634 0.357 O
0.841 0.035 0.090 O
0.689 0.173 0.745 O
0.980 0.813 0.089 O
0.505 0.144 0.922 O
0.833 0.812 0.588 O
0.966 0.164 0.311 O
0.168 0.968 0.193 O
0.835 0.308 0.526 O
0.472 0.162 0.524 O
0.503 0.136 0.644 O
0.170 0.690 0.753 O
0.199 0.163 0.806 O
0.536 0.836 0.475 O
0.965 0.802 0.806 O
0.143 0.640 0.081 O
0.028 0.189 0.911 O
0.144 0.505 0.579 O
0.482 0.308 0.743 O
0.644 0.147 0.420 O
0.524 0.694 0.255 O
0.642 0.503 0.646 O
0.355 0.861 0.858 O
0.963 0.159 0.588 O
0.198 0.033 0.311 O
0.159 0.471 0.977 O
0.171 0.477 0.255 O
0.826 0.516 0.744 O
0.509 0.644 0.856 O
0.503 0.357 0.420 O
0.812 0.840 0.912 O
0.192 0.164 0.090 O
0.139 0.494 0.857 O
0.699 0.172 0.028 O
0.807 0.839 0.196 O
0.498 0.645 0.579 O
0.301 0.472 0.472 O
0.639 0.494 0.921 O
0.353 0.500 0.081 O
0.827 0.308 0.245 O
0.310 0.841 0.977 O
0.191 0.029 0.588 O
0.306 0.829 0.255 O
0.474 0.301 0.029 O
0.493 0.860 0.080 O
0.033 0.837 0.692 O
0.519 0.830 0.754 O
0.162 0.197 0.692 O
0.834 0.799 0.312 O
0.160 0.972 0.911 O
0.482 0.172 0.247 O
0.855 0.498 0.421 O
0.692 0.519 0.246 O
0.832 0.525 0.027 O
0.495 0.359 0.149 O
0.026 0.842 0.410 O
0.862 0.358 0.647 O
0.500 0.865 0.358 O
0.159 0.184 0.410 O
0.172 0.701 0.472 O
0.366 0.498 0.356 O
0.839 0.035 0.805 O
0.817 0.976 0.410 O
0.864 0.498 0.146 O
0.034 0.200 0.192 O
0.523 0.688 0.974 O
0.855 0.360 0.921 O
0.795 0.965 0.689 O
0.310 0.480 0.753 O
0.369 0.861 0.578 O
0.633 0.134 0.147 O
0.666 0.335 0.481 Nb
0.996 0.996 0.145 Nb
0.001 0.001 0.855 Nb
0.338 0.667 0.022 Nb
0.333 0.667 0.311 Nb
0.005 0.000 0.643 Nb
0.329 0.662 0.523 Nb
0.334 0.667 0.813 Nb
0.667 0.335 0.977 Nb
0.667 0.334 0.687 Al
0.666 0.333 0.188 Al
0.999 0.000 0.352 Al
```

Total magnetization (μB/f.u.): 0.0
Calculated volume (Å³/atom): 13.057
Formation energy (eV per atom): -2.97
Theoretical density (g/cm3): 3.2



13.
First-principles (GGA-PBE) data for MgAsH16NO10 after structural relaxation, as listed in Materials Project.

```
MgAsH16NO10
1.0
-0.041 5.992 -1.505
-6.203 -0.902 -3.422
-11.789 1.513 6.343
H O N As Mg
32 20 2 2 2
Direct
0.523 0.116 0.263 H
0.394 0.799 0.517 H
0.477 0.116 0.763 H
0.176 0.378 0.301 H
0.771 0.213 0.278 H
0.369 0.257 0.009 H
0.609 0.166 0.017 H
0.824 0.378 0.801 H
0.229 0.213 0.778 H
0.391 0.166 0.517 H
0.631 0.257 0.509 H
0.364 0.732 0.006 H
0.355 0.311 0.645 H
0.606 0.799 0.017 H
0.210 0.018 0.186 H
0.636 0.732 0.506 H
0.463 0.370 0.739 H
0.645 0.311 0.145 H
0.997 0.392 0.494 H
0.210 0.610 0.185 H
0.999 0.618 0.495 H
0.001 0.618 0.995 H
0.710 0.793 0.206 H
0.790 0.018 0.686 H
0.170 0.015 0.304 H
0.790 0.610 0.685 H
0.003 0.392 0.994 H
0.830 0.015 0.804 H
0.819 0.666 0.333 H
0.181 0.666 0.833 H
0.290 0.793 0.706 H
0.537 0.370 0.239 H
0.878 0.749 0.551 O
0.525 0.305 0.995 O
0.727 0.510 0.765 O
0.943 0.546 0.952 O
0.519 0.713 0.990 O
0.273 0.510 0.265 O
0.264 0.942 0.560 O
0.733 0.953 0.768 O
0.680 0.707 0.292 O
0.736 0.942 0.060 O
0.983 0.146 0.854 O
0.320 0.707 0.792 O
0.475 0.305 0.495 O
0.057 0.546 0.452 O
0.481 0.713 0.490 O
0.876 0.149 0.552 O
0.122 0.749 0.051 O
0.124 0.149 0.052 O
0.017 0.146 0.354 O
0.267 0.953 0.268 O
0.623 0.253 0.232 N
0.377 0.253 0.732 N
0.995 0.997 0.004 As
0.005 0.997 0.504 As
0.625 0.623 0.875 Mg
0.375 0.623 0.375 Mg
```

Total magnetization (μB/f.u.): 0.0
Calculated volume (Å³/atom): 8.752
Formation energy (eV per atom): -1.36
Theoretical density (g/cm3): 1.9